Record 1
DFT (PBE with a Hubbard U) results for crystalline Sr2LiCdWO6 at its relaxed geometry.

a = 6.203 Å, b = 6.661 Å, c = 5.446 Å
α = 118.68°, β = 110.70°, γ = 103.97°
Positions (direct):
Sr1 0.718 0.277 0.459
Sr2 0.282 0.723 0.541
Li1 0.000 0.000 0.500
Cd1 0.500 0.500 0.000
W1 0.000 0.000 0.000
O1 0.687 0.851 0.037
O2 0.166 0.839 0.157
O3 0.834 0.161 0.843
O4 0.313 0.149 0.963
O5 0.153 0.313 0.494
O6 0.847 0.687 0.506

Values from the calculation:
For the total energy, the calculation gives -6.07 eV/atom. The calculation puts the calculated density at 6.0 g/cm3. For the energy above the lowest structure with this stoichiometry, the calculation gives 0.0 meV per atom. The calculation puts the formation energy at -26.45 eV/f.u. As for the total magnetic moment: 1.0 μB/cell. The calculation puts the MP2020-corrected energy at -75.308 eV per cell. As for the space group: P-1.

Record 2
DFT (PBE with a Hubbard U) results for crystalline Sr2LiCdWO6 at its relaxed geometry.

a = 5.989 Å, b = 6.008 Å, c = 6.100 Å
α = 120.35°, β = 120.26°, γ = 88.49°
Positions (direct):
Sr1 0.801 0.307 0.567
Sr2 0.234 0.740 0.433
Li1 0.412 0.882 0.000
Cd1 0.507 0.464 0.000
W1 0.986 0.005 0.000
O1 0.699 0.824 0.000
O2 0.179 0.702 0.000
O3 0.844 0.312 0.000
O4 0.290 0.159 0.000
O5 0.205 0.212 0.451
O6 0.754 0.761 0.549

Values from the calculation:
For the total energy, the calculation gives -6.02 eV/atom. The calculation puts the calculated density at 6.1 g/cm3. For the energy above the lowest structure with this stoichiometry, the calculation gives 52.1 meV per atom. The calculation puts the formation energy at -25.88 eV/f.u. As for the total magnetic moment: 1.0 μB/cell. The calculation puts the MP2020-corrected energy at -74.735 eV per cell. As for the space group: Cm.

Record 3
DFT (PBE with a Hubbard U) results for crystalline MgMn4Cd2O8 at its relaxed geometry.

a = 6.682 Å, b = 6.348 Å, c = 6.629 Å
α = 120.93°, β = 123.09°, γ = 85.59°
Positions (direct):
Mg1 0.156 0.407 0.294
Mn1 0.004 0.988 0.485
Mn2 0.940 0.918 0.890
Mn3 0.927 0.460 0.860
Mn4 0.478 0.991 0.483
Cd1 0.576 0.325 0.147
Cd2 0.448 0.699 0.902
O1 0.827 0.779 0.057
O2 0.748 0.178 0.433
O3 0.223 0.763 0.052
O4 0.170 0.215 0.937
O5 0.244 0.782 0.533
O6 0.284 0.247 0.511
O7 0.689 0.754 0.454
O8 0.773 0.233 0.943

Values from the calculation:
For the total energy, the calculation gives -6.31 eV/atom. The calculation puts the calculated density at 5.1 g/cm3. For the energy above the lowest structure with this stoichiometry, the calculation gives 73.0 meV per atom. The calculation puts the formation energy at -27.09 eV/f.u. As for the total magnetic moment: 18.0 μB/cell. The calculation puts the MP2020-corrected energy at -106.769 eV per cell. As for the space group: P1.

Record 4
DFT (PBE with a Hubbard U) results for crystalline MgMn4Cd2O8 at its relaxed geometry.

a = 6.353 Å, b = 6.353 Å, c = 6.373 Å
α = 117.26°, β = 117.26°, γ = 91.36°
Positions (direct):
Mg1 0.159 0.841 0.750
Mn1 0.945 0.052 0.470
Mn2 0.948 0.055 0.030
Mn3 0.017 0.511 0.012
Mn4 0.489 0.983 0.488
Cd1 0.581 0.419 0.250
Cd2 0.466 0.534 0.750
O1 0.839 0.766 0.059
O2 0.696 0.238 0.502
O3 0.251 0.703 0.989
O4 0.180 0.219 0.942
O5 0.297 0.749 0.511
O6 0.234 0.161 0.441
O7 0.781 0.820 0.558
O8 0.762 0.304 0.998

Values from the calculation:
For the total energy, the calculation gives -6.31 eV/atom. The calculation puts the calculated density at 5.1 g/cm3. For the energy above the lowest structure with this stoichiometry, the calculation gives 72.6 meV per atom. The calculation puts the formation energy at -27.10 eV/f.u. As for the total magnetic moment: 18.0 μB/cell. The calculation puts the MP2020-corrected energy at -106.774 eV per cell. As for the space group: C2.

Record 5
DFT (PBE with a Hubbard U) results for crystalline MgMn4Cd2O8 at its relaxed geometry.

a = 5.967 Å, b = 6.419 Å, c = 6.518 Å
α = 117.90°, β = 117.26°, γ = 90.16°
Positions (direct):
Mg1 0.557 0.048 0.114
Mn1 0.024 0.003 0.546
Mn2 0.009 0.982 0.018
Mn3 0.000 0.490 0.000
Mn4 0.523 0.003 0.546
Cd1 0.572 0.518 0.143
Cd2 0.323 0.551 0.652
O1 0.750 0.755 0.027
O2 0.768 0.202 0.531
O3 0.276 0.755 0.028
O4 0.254 0.212 0.999
O5 0.233 0.766 0.468
O6 0.239 0.164 0.477
O7 0.787 0.816 0.573
O8 0.747 0.214 0.999

Values from the calculation:
For the total energy, the calculation gives -6.38 eV/atom. The calculation puts the calculated density at 5.3 g/cm3. For the energy above the lowest structure with this stoichiometry, the calculation gives 0.0 meV per atom. The calculation puts the formation energy at -28.19 eV/f.u. As for the total magnetic moment: 18.0 μB/cell. The calculation puts the MP2020-corrected energy at -107.864 eV per cell. As for the space group: P1.

Record 6
DFT (PBE with a Hubbard U) results for crystalline MgCd2Mo2O8 at its relaxed geometry.

a = 5.170 Å, b = 5.233 Å, c = 8.347 Å
α = 111.38°, β = 111.21°, γ = 80.49°
Positions (direct):
Mg1 0.980 0.230 0.959
Cd1 0.639 0.889 0.278
Cd2 0.332 0.082 0.665
Mo1 0.177 0.427 0.355
Mo2 0.818 0.568 0.636
O1 0.067 0.398 0.808
O2 0.456 0.689 0.424
O3 0.967 0.234 0.424
O4 0.741 0.910 0.808
O5 0.283 0.137 0.163
O6 0.029 0.746 0.560
O7 0.531 0.314 0.561
O8 0.879 0.525 0.163

Values from the calculation:
For the total energy, the calculation gives -6.01 eV/atom. The calculation puts the calculated density at 4.8 g/cm3. The calculation puts the formation energy at -25.29 eV/f.u. As for the total magnetic moment: 2.0 μB/cell. The calculation puts the MP2020-corrected energy at -90.007 eV per cell. As for the space group: C2.

Record 7
DFT (PBE with a Hubbard U) results for crystalline MgCd2Ni4O8 at its relaxed geometry.

a = 5.915 Å, b = 7.086 Å, c = 5.915 Å
α = 65.35°, β = 89.97°, γ = 114.65°
Positions (direct):
Mg1 0.500 0.000 0.500
Cd1 0.000 0.000 0.000
Cd2 0.750 0.500 0.750
Ni1 0.415 0.341 0.330
Ni2 0.926 0.340 0.330
Ni3 0.330 0.659 0.415
Ni4 0.330 0.659 0.926
O1 0.151 0.302 0.122
O2 0.631 0.261 0.158
O3 0.577 0.698 0.151
O4 0.122 0.698 0.151
O5 0.631 0.261 0.581
O6 0.150 0.302 0.577
O7 0.158 0.739 0.631
O8 0.581 0.739 0.631

Values from the calculation:
For the total energy, the calculation gives -4.44 eV/atom. The calculation puts the calculated density at 5.1 g/cm3. For the energy above the lowest structure with this stoichiometry, the calculation gives 179.5 meV per atom. The calculation puts the formation energy at -16.06 eV/f.u. As for the total magnetic moment: 6.0 μB/cell. The calculation puts the MP2020-corrected energy at -82.211 eV per cell. As for the space group: I-4m2.

Record 8
DFT (PBE with a Hubbard U) results for crystalline Mg14CdNiO16 at its relaxed geometry.

a = 8.603 Å, b = 8.603 Å, c = 4.307 Å
α = 90.00°, β = 90.00°, γ = 90.00°
Positions (direct):
Mg1 0.500 0.000 0.000
Mg2 0.500 0.500 0.000
Mg3 0.000 0.244 0.500
Mg4 0.000 0.756 0.500
Mg5 0.500 0.249 0.500
Mg6 0.500 0.751 0.500
Mg7 0.250 0.000 0.500
Mg8 0.255 0.500 0.500
Mg9 0.750 0.000 0.500
Mg10 0.745 0.500 0.500
Mg11 0.252 0.247 0.000
Mg12 0.252 0.753 0.000
Mg13 0.748 0.247 0.000
Mg14 0.748 0.753 0.000
Cd1 0.000 0.500 0.000
Ni1 0.000 0.000 0.000
O1 0.254 0.000 0.000
O2 0.265 0.500 0.000
O3 0.746 0.000 0.000
O4 0.735 0.500 0.000
O5 0.249 0.250 0.500
O6 0.249 0.750 0.500
O7 0.751 0.250 0.500
O8 0.751 0.750 0.500
O9 0.000 0.000 0.500
O10 0.000 0.500 0.500
O11 0.500 0.000 0.500
O12 0.500 0.500 0.500
O13 0.000 0.235 0.000
O14 0.000 0.765 0.000
O15 0.500 0.248 0.000
O16 0.500 0.752 0.000

Values from the calculation:
For the total energy, the calculation gives -5.76 eV/atom. The calculation puts the calculated density at 4.0 g/cm3. The calculation puts the formation energy at -89.53 eV/f.u. As for the total magnetic moment: 2.0 μB/cell. The calculation puts the MP2020-corrected energy at -197.802 eV per cell. As for the space group: Pmmm.